(1)
Fe3N | PBE | relaxed

Unit cell a=4.9405 b=7.0703 c=4.4710 alpha=90.00 beta=90.00 gamma=90.00
Positions (direct):
Fe: 0.0563 0.2500 0.1845
Fe: 0.1729 0.0756 0.6864
Fe: 0.1729 0.4244 0.6864
Fe: 0.3271 0.5756 0.1864
Fe: 0.3271 0.9244 0.1864
Fe: 0.4437 0.7500 0.6845
Fe: 0.5563 0.2500 0.3155
Fe: 0.6729 0.0756 0.8136
Fe: 0.6729 0.4244 0.8136
Fe: 0.8271 0.5756 0.3136
Fe: 0.8271 0.9244 0.3136
Fe: 0.9437 0.7500 0.8155
N: 0.1170 0.7500 0.4330
N: 0.3830 0.2500 0.9330
N: 0.6170 0.7500 0.0670
N: 0.8830 0.2500 0.5670

## Properties
Space-group type: Pnma, No. 62
Energy relative to the elements, kJ/mol of formula units: -12
Size of the total moment, μB/cell: 22.85

(2)
NiAsSe | PBE | relaxed

Unit cell a=5.8707 b=5.8707 c=5.8707 alpha=90.00 beta=90.00 gamma=90.00
Positions (direct):
Ni: 0.0033 0.0033 0.0033
Ni: 0.4967 0.9967 0.5033
Ni: 0.5033 0.4967 0.9967
Ni: 0.9967 0.5033 0.4967
As: 0.1235 0.8765 0.3765
As: 0.3765 0.1235 0.8765
As: 0.6235 0.6235 0.6235
As: 0.8765 0.3765 0.1235
Se: 0.1218 0.6218 0.8782
Se: 0.3782 0.3782 0.3782
Se: 0.6218 0.8782 0.1218
Se: 0.8782 0.1218 0.6218

## Properties
Space-group type: P2_13, No. 198
Energy relative to the elements, kJ/mol of formula units: -130

(3)
CeMg14Zr | PBE | relaxed

Unit cell a=6.5027 b=6.5027 c=10.0890 alpha=90.00 beta=90.00 gamma=120.00
Positions (direct):
Ce: 0.0000 0.0000 0.0000
Mg: 0.9996 0.4998 0.5000
Mg: 0.0104 0.5052 0.0000
Mg: 0.1682 0.3364 0.2571
Mg: 0.1682 0.3364 0.7429
Mg: 0.1682 0.8318 0.2571
Mg: 0.1682 0.8318 0.7429
Mg: 0.4948 0.5052 0.0000
Mg: 0.4948 0.9896 0.0000
Mg: 0.5002 0.0004 0.5000
Mg: 0.5002 0.4998 0.5000
Mg: 0.6636 0.8318 0.2571
Mg: 0.6636 0.8318 0.7429
Mg: 0.6667 0.3333 0.2434
Mg: 0.6667 0.3333 0.7566
Zr: 0.0000 0.0000 0.5000

## Properties
Space-group type: P-6m2, No. 187
Energy relative to the elements, kJ/mol of formula units: 125
Size of the total moment, μB/cell: 0.24
ΔE to the lowest computed polymorph, meV per atom: 37.0